1.
## CeGeRh (GGA-PBE)

Data for an optimized crystal structure of CeGeRh.

Results
Calculated total energy in eV per cell: -82.57
Calculated formation energy in eV/atom: -0.907

abc: 7.059 4.411 7.627
angles: 90.00 90.00 90.00
Space group Pnma (No. 62)
Asymmetric unit:
Ce 0.016 0.250 0.198
Ge 0.179 0.250 0.581
Rh 0.211 0.750 0.406


2.
## Ce4Ge9Rh13 (GGA-PBE)

Data for an optimized crystal structure of Ce4Ge9Rh13.

Results
Calculated total energy in eV per cell: -365.21
Calculated formation energy in eV/atom: -0.828

abc: 3.982 11.383 19.676
angles: 90.00 90.00 90.00
Space group Pmmn (No. 59, origin choice 2)
Asymmetric unit:
Ce 0.250 0.060 0.208
Ce 0.250 0.250 0.021
Ce 0.250 0.750 0.520
Ge 0.250 0.067 0.415
Ge 0.250 0.124 0.730
Ge 0.250 0.250 0.603
Ge 0.250 0.561 0.919
Ge 0.250 0.750 0.102
Ge 0.250 0.750 0.731
Rh 0.250 0.059 0.541
Rh 0.250 0.127 0.857
Rh 0.250 0.250 0.344
Rh 0.250 0.550 0.046
Rh 0.250 0.565 0.665
Rh 0.250 0.623 0.355
Rh 0.250 0.750 0.227
Rh 0.250 0.750 0.857


3.
## CeGe2Rh2 (GGA-PBE)

Data for an optimized crystal structure of CeGe2Rh2.

Results
Calculated total energy in eV per cell: -68.38
Calculated formation energy in eV/atom: -0.857

abc: 4.177 4.177 10.500
angles: 90.00 90.00 90.00
Space group I4/mmm (No. 139)
Asymmetric unit:
Ce 0.000 0.000 0.000
Ge 0.000 0.000 0.378
Rh 0.000 0.500 0.250


4.
## CeGe3Rh (GGA-PBE)

Data for an optimized crystal structure of CeGe3Rh.

Results
Calculated total energy in eV per cell: -61.22
Calculated formation energy in eV/atom: -0.689

abc: 4.426 4.426 10.040
angles: 90.00 90.00 90.00
Space group I4mm (No. 107)
Asymmetric unit:
Ce 0.000 0.000 0.000
Ge 0.000 0.000 0.575
Ge 0.000 0.500 0.233
Rh 0.000 0.000 0.336


5.
## Ce3Ge4Rh4 (GGA-PBE)

Data for an optimized crystal structure of Ce3Ge4Rh4.

Results
Calculated total energy in eV per cell: -151.04
Calculated formation energy in eV/atom: -0.888

abc: 3.999 4.293 25.266
angles: 90.00 90.00 90.00
Space group Immm (No. 71)
Asymmetric unit:
Ce 0.000 0.000 0.000
Ce 0.000 0.500 0.145
Ge 0.000 0.000 0.451
Ge 0.000 0.500 0.304
Rh 0.000 0.000 0.252
Rh 0.000 0.500 0.402


6.
## Ce5Ge2Ru (GGA-PBE)

Data for an optimized crystal structure of Ce5Ge2Ru.

Results
Calculated total energy in eV per cell: -210.68
Calculated formation energy in eV/atom: -0.561

abc: 11.760 8.792 7.827
angles: 90.00 90.00 90.00
Space group Pnma (No. 62)
Asymmetric unit:
Ce 0.002 0.250 0.025
Ce 0.067 0.536 0.300
Ce 0.205 0.250 0.631
Ce 0.211 0.750 0.653
Ge 0.173 0.005 0.922
Ru 0.023 0.250 0.421


7.
## CeGe3Ru (GGA-PBE)

Data for an optimized crystal structure of CeGe3Ru.

Results
Calculated total energy in eV per cell: -256.72
Calculated formation energy in eV/atom: -0.603

abc: 9.070 9.070 9.070
angles: 90.00 90.00 90.00
Space group Pm-3n (No. 223)
Asymmetric unit:
Ce 0.000 0.000 0.000
Ce 0.000 0.250 0.500
Ge 0.000 0.326 0.153
Ru 0.250 0.250 0.250


8.
## CeGe2Ru2 (GGA-PBE)

Data for an optimized crystal structure of CeGe2Ru2.

Results
Calculated total energy in eV per cell: -73.95
Calculated formation energy in eV/atom: -0.649

abc: 4.291 4.291 10.008
angles: 90.00 90.00 90.00
Space group I4/mmm (No. 139)
Asymmetric unit:
Ce 0.000 0.000 0.000
Ge 0.000 0.000 0.369
Ru 0.000 0.500 0.250